Model w:
ZnCuBiO5 after structural relaxation. Source: the Materials Project, functional PBE-GGA.

The structure in POSCAR format:
```
ZnCuBiO5
1.0
5.167 0.000 0.000
0.000 10.961 0.000
-2.277 0.000 7.678
Zn Cu Bi O
4 4 4 20
direct
0.037 0.088 0.190 Zn
0.037 0.412 0.690 Zn
0.963 0.588 0.310 Zn
0.963 0.912 0.810 Zn
0.342 0.640 0.037 Cu
0.342 0.860 0.537 Cu
0.658 0.140 0.463 Cu
0.658 0.360 0.963 Cu
0.485 0.102 0.838 Bi
0.485 0.398 0.338 Bi
0.515 0.602 0.662 Bi
0.515 0.898 0.162 Bi
0.221 0.521 0.162 O
0.221 0.979 0.662 O
0.241 0.565 0.818 O
0.241 0.935 0.318 O
0.243 0.039 0.005 O
0.243 0.461 0.505 O
0.250 0.706 0.451 O
0.250 0.794 0.951 O
0.369 0.209 0.286 O
0.369 0.291 0.786 O
0.631 0.709 0.214 O
0.631 0.791 0.714 O
0.750 0.206 0.049 O
0.750 0.294 0.549 O
0.757 0.539 0.495 O
0.757 0.961 0.995 O
0.759 0.065 0.682 O
0.759 0.435 0.182 O
0.779 0.021 0.338 O
0.779 0.479 0.838 O
```

Values from the calculation:
- SG = No. 14

Model x:
ZnCuBiO5 after structural relaxation. Source: the Materials Project, functional PBE-GGA.

The structure in POSCAR format:
```
ZnCuBiO5
1.0
5.225 0.000 0.000
0.000 15.036 0.000
0.000 0.000 9.690
Zn Cu Bi O
8 8 8 40
direct
0.058 0.063 0.126 Zn
0.058 0.437 0.626 Zn
0.442 0.563 0.126 Zn
0.442 0.937 0.626 Zn
0.558 0.063 0.374 Zn
0.558 0.437 0.874 Zn
0.942 0.563 0.374 Zn
0.942 0.937 0.874 Zn
0.027 0.572 0.885 Cu
0.027 0.928 0.385 Cu
0.473 0.072 0.885 Cu
0.473 0.428 0.385 Cu
0.527 0.572 0.615 Cu
0.527 0.928 0.115 Cu
0.973 0.072 0.615 Cu
0.973 0.428 0.115 Cu
0.022 0.250 0.363 Bi
0.022 0.250 0.863 Bi
0.478 0.750 0.363 Bi
0.478 0.750 0.863 Bi
0.522 0.250 0.137 Bi
0.522 0.250 0.637 Bi
0.978 0.750 0.137 Bi
0.978 0.750 0.637 Bi
0.144 0.673 0.308 O
0.144 0.827 0.808 O
0.166 0.005 0.737 O
0.166 0.495 0.237 O
0.172 0.171 0.681 O
0.172 0.329 0.181 O
0.223 0.653 0.998 O
0.223 0.847 0.498 O
0.234 0.018 0.477 O
0.234 0.482 0.977 O
0.266 0.518 0.477 O
0.266 0.982 0.977 O
0.277 0.153 0.998 O
0.277 0.347 0.498 O
0.328 0.671 0.681 O
0.328 0.829 0.181 O
0.334 0.505 0.737 O
0.334 0.995 0.237 O
0.356 0.173 0.308 O
0.356 0.327 0.808 O
0.644 0.673 0.192 O
0.644 0.827 0.692 O
0.666 0.005 0.763 O
0.666 0.495 0.263 O
0.672 0.171 0.819 O
0.672 0.329 0.319 O
0.723 0.653 0.502 O
0.723 0.847 0.002 O
0.734 0.018 0.023 O
0.734 0.482 0.523 O
0.766 0.518 0.023 O
0.766 0.982 0.523 O
0.777 0.153 0.502 O
0.777 0.347 0.002 O
0.828 0.671 0.819 O
0.828 0.829 0.319 O
0.834 0.505 0.763 O
0.834 0.995 0.263 O
0.856 0.173 0.192 O
0.856 0.327 0.692 O
```

Values from the calculation:
- SG = No. 61

Tell me which of them is the least stable. Sure, it is model x.

Model w:
CuBi3PbS6 after structural relaxation. Source: the Materials Project, functional PBE-GGA.

The structure in POSCAR format:
```
CuBi3PbS6
1.0
4.063 0.000 0.000
0.000 11.661 0.000
0.000 0.000 11.214
Cu Bi Pb S
2 6 2 12
direct
0.000 0.012 0.000 Cu
0.500 0.988 0.500 Cu
0.000 0.240 0.532 Bi
0.000 0.412 0.189 Bi
0.000 0.726 0.390 Bi
0.500 0.274 0.890 Bi
0.500 0.588 0.689 Bi
0.500 0.760 0.032 Bi
0.000 0.913 0.729 Pb
0.500 0.087 0.229 Pb
0.000 0.029 0.418 S
0.000 0.208 0.070 S
0.000 0.372 0.761 S
0.000 0.537 0.527 S
0.000 0.700 0.841 S
0.000 0.868 0.151 S
0.500 0.132 0.651 S
0.500 0.300 0.341 S
0.500 0.463 0.027 S
0.500 0.628 0.261 S
0.500 0.792 0.570 S
0.500 0.971 0.918 S
```

Values from the calculation:
- SG = No. 31

Model x:
CuBi3PbS6 after structural relaxation. Source: the Materials Project, functional PBE-GGA.

The structure in POSCAR format:
```
CuBi3PbS6
1.0
4.055 0.000 0.000
0.000 11.369 0.000
0.000 0.000 11.687
Cu Bi Pb S
2 6 2 12
direct
0.000 0.042 0.000 Cu
0.000 0.958 0.500 Cu
0.000 0.237 0.613 Bi
0.000 0.428 0.289 Bi
0.000 0.572 0.789 Bi
0.000 0.763 0.113 Bi
0.500 0.074 0.249 Bi
0.500 0.926 0.749 Bi
0.500 0.286 0.935 Pb
0.500 0.714 0.435 Pb
0.000 0.106 0.805 S
0.000 0.190 0.138 S
0.000 0.450 0.978 S
0.000 0.550 0.478 S
0.000 0.810 0.638 S
0.000 0.894 0.305 S
0.500 0.053 0.543 S
0.500 0.302 0.378 S
0.500 0.375 0.705 S
0.500 0.625 0.205 S
0.500 0.698 0.878 S
0.500 0.947 0.043 S
```

Values from the calculation:
- SG = No. 26

Tell me which of them is the least stable. Sure, it is model x.

Model w:
Dy5Bi3 after structural relaxation. Source: the Materials Project, functional PBE-GGA.

The structure in POSCAR format:
```
Dy5Bi3
1.0
12.078 0.000 0.000
0.000 9.490 0.000
0.000 0.000 8.331
Dy Bi
20 12
direct
0.005 0.250 0.024 Dy
0.065 0.062 0.693 Dy
0.065 0.438 0.693 Dy
0.209 0.750 0.343 Dy
0.230 0.250 0.328 Dy
0.270 0.750 0.828 Dy
0.291 0.250 0.843 Dy
0.435 0.562 0.193 Dy
0.435 0.938 0.193 Dy
0.495 0.750 0.524 Dy
0.505 0.250 0.476 Dy
0.565 0.062 0.807 Dy
0.565 0.438 0.807 Dy
0.709 0.750 0.157 Dy
0.730 0.250 0.172 Dy
0.770 0.750 0.672 Dy
0.791 0.250 0.657 Dy
0.935 0.562 0.307 Dy
0.935 0.938 0.307 Dy
0.995 0.750 0.976 Dy
0.024 0.750 0.598 Bi
0.175 0.508 0.066 Bi
0.175 0.992 0.066 Bi
0.325 0.008 0.566 Bi
0.325 0.492 0.566 Bi
0.476 0.250 0.098 Bi
0.524 0.750 0.902 Bi
0.675 0.508 0.434 Bi
0.675 0.992 0.434 Bi
0.825 0.008 0.934 Bi
0.825 0.492 0.934 Bi
0.976 0.250 0.402 Bi
```

Values from the calculation:
- SG = No. 62

Model x:
Dy5Bi3 after structural relaxation. Source: the Materials Project, functional PBE-GGA.

The structure in POSCAR format:
```
Dy5Bi3
1.0
8.266 0.000 0.000
0.000 9.547 0.000
0.000 0.000 12.050
Dy Bi
20 12
direct
0.024 0.250 0.012 Dy
0.147 0.750 0.285 Dy
0.187 0.250 0.281 Dy
0.193 0.064 0.558 Dy
0.193 0.436 0.558 Dy
0.307 0.564 0.058 Dy
0.307 0.936 0.058 Dy
0.313 0.750 0.781 Dy
0.353 0.250 0.785 Dy
0.476 0.750 0.512 Dy
0.524 0.250 0.488 Dy
0.647 0.750 0.215 Dy
0.687 0.250 0.219 Dy
0.693 0.064 0.942 Dy
0.693 0.436 0.942 Dy
0.807 0.564 0.442 Dy
0.807 0.936 0.442 Dy
0.813 0.750 0.719 Dy
0.853 0.250 0.715 Dy
0.976 0.750 0.988 Dy
0.064 0.004 0.825 Bi
0.064 0.496 0.825 Bi
0.093 0.750 0.543 Bi
0.407 0.250 0.043 Bi
0.436 0.504 0.325 Bi
0.436 0.996 0.325 Bi
0.564 0.004 0.675 Bi
0.564 0.496 0.675 Bi
0.593 0.750 0.957 Bi
0.907 0.250 0.457 Bi
0.936 0.504 0.175 Bi
0.936 0.996 0.175 Bi
```

Values from the calculation:
- SG = No. 62

Tell me which of them is the least stable. Sure, it is model w.

Model w:
KEuDyBiO6 after structural relaxation. Source: the Materials Project, functional PBE-GGA.

The structure in POSCAR format:
```
KEuDyBiO6
1.0
0.000 4.324 4.324
4.324 0.000 4.324
4.324 4.324 0.000
K Eu Dy Bi O
1 1 1 1 6
direct
0.000 0.000 0.000 K
0.500 0.500 0.500 Eu
0.750 0.750 0.750 Dy
0.250 0.250 0.250 Bi
0.006 0.006 0.494 O
0.006 0.494 0.006 O
0.006 0.494 0.494 O
0.494 0.006 0.006 O
0.494 0.006 0.494 O
0.494 0.494 0.006 O
```

Values from the calculation:
- SG = No. 216

Model x:
KEuDyBiO6 after structural relaxation. Source: the Materials Project, functional PBE-GGA.

The structure in POSCAR format:
```
KEuDyBiO6
1.0
8.624 0.000 0.000
0.000 8.633 0.000
0.000 0.000 8.691
K Eu Dy Bi O
4 4 4 4 24
direct
0.250 0.250 0.250 K
0.250 0.750 0.750 K
0.750 0.250 0.250 K
0.750 0.750 0.750 K
0.250 0.250 0.750 Eu
0.250 0.750 0.250 Eu
0.750 0.250 0.750 Eu
0.750 0.750 0.250 Eu
0.000 0.000 0.000 Dy
0.000 0.500 0.500 Dy
0.500 0.000 0.500 Dy
0.500 0.500 0.000 Dy
0.000 0.000 0.500 Bi
0.000 0.500 0.000 Bi
0.500 0.000 0.000 Bi
0.500 0.500 0.500 Bi
0.041 0.050 0.743 O
0.041 0.450 0.757 O
0.047 0.742 0.963 O
0.047 0.758 0.537 O
0.242 0.039 0.453 O
0.242 0.461 0.047 O
0.258 0.039 0.047 O
0.258 0.461 0.453 O
0.453 0.742 0.537 O
0.453 0.758 0.963 O
0.459 0.050 0.757 O
0.459 0.450 0.743 O
0.541 0.550 0.257 O
0.541 0.950 0.243 O
0.547 0.242 0.037 O
0.547 0.258 0.463 O
0.742 0.539 0.547 O
0.742 0.961 0.953 O
0.758 0.539 0.953 O
0.758 0.961 0.547 O
0.953 0.242 0.463 O
0.953 0.258 0.037 O
0.959 0.550 0.243 O
0.959 0.950 0.257 O
```

Values from the calculation:
- SG = No. 48

Tell me which of them is the least stable. Sure, it is model w.

Model w:
KLaDyBiO6 after structural relaxation. Source: the Materials Project, functional PBE-GGA.

The structure in POSCAR format:
```
KLaDyBiO6
1.0
8.449 0.000 0.000
0.000 8.595 0.000
0.000 0.000 8.600
K La Dy Bi O
4 4 4 4 24
direct
0.250 0.250 0.250 K
0.250 0.750 0.750 K
0.750 0.250 0.250 K
0.750 0.750 0.750 K
0.250 0.250 0.750 La
0.250 0.750 0.250 La
0.750 0.250 0.750 La
0.750 0.750 0.250 La
0.000 0.000 0.000 Dy
0.000 0.500 0.500 Dy
0.500 0.000 0.500 Dy
0.500 0.500 0.000 Dy
0.000 0.000 0.500 Bi
0.000 0.500 0.000 Bi
0.500 0.000 0.000 Bi
0.500 0.500 0.500 Bi
0.032 0.058 0.745 O
0.032 0.442 0.755 O
0.041 0.744 0.991 O
0.041 0.756 0.509 O
0.244 0.025 0.462 O
0.244 0.475 0.038 O
0.256 0.025 0.038 O
0.256 0.475 0.462 O
0.459 0.744 0.509 O
0.459 0.756 0.991 O
0.468 0.058 0.755 O
0.468 0.442 0.745 O
0.532 0.558 0.255 O
0.532 0.942 0.245 O
0.541 0.244 0.009 O
0.541 0.256 0.491 O
0.744 0.525 0.538 O
0.744 0.975 0.962 O
0.756 0.525 0.962 O
0.756 0.975 0.538 O
0.959 0.244 0.491 O
0.959 0.256 0.009 O
0.968 0.558 0.245 O
0.968 0.942 0.255 O
```

Values from the calculation:
- SG = No. 48

Model x:
KLaDyBiO6 after structural relaxation. Source: the Materials Project, functional PBE-GGA.

The structure in POSCAR format:
```
KLaDyBiO6
1.0
0.000 4.287 4.287
4.287 0.000 4.287
4.287 4.287 0.000
K La Dy Bi O
1 1 1 1 6
direct
0.000 0.000 0.000 K
0.500 0.500 0.500 La
0.250 0.250 0.250 Dy
0.750 0.750 0.750 Bi
0.505 0.505 0.995 O
0.505 0.995 0.505 O
0.505 0.995 0.995 O
0.995 0.505 0.505 O
0.995 0.505 0.995 O
0.995 0.995 0.505 O
```

Values from the calculation:
- SG = No. 216

Tell me which of them is the least stable. Sure, it is model x.

Model w:
KEuNbBiO6 after structural relaxation. Source: the Materials Project, functional PBE-GGA.

The structure in POSCAR format:
```
KEuNbBiO6
1.0
8.588 0.000 0.000
0.000 8.610 0.000
0.000 0.000 8.638
K Eu Nb Bi O
4 4 4 4 24
direct
0.250 0.250 0.250 K
0.250 0.750 0.750 K
0.750 0.250 0.250 K
0.750 0.750 0.750 K
0.250 0.250 0.750 Eu
0.250 0.750 0.250 Eu
0.750 0.250 0.750 Eu
0.750 0.750 0.250 Eu
0.000 0.000 0.000 Nb
0.000 0.500 0.500 Nb
0.500 0.000 0.500 Nb
0.500 0.500 0.000 Nb
0.000 0.000 0.500 Bi
0.000 0.500 0.000 Bi
0.500 0.000 0.000 Bi
0.500 0.500 0.500 Bi
0.010 0.017 0.765 O
0.010 0.483 0.735 O
0.011 0.735 0.505 O
0.011 0.765 0.995 O
0.235 0.010 0.011 O
0.235 0.490 0.489 O
0.265 0.010 0.489 O
0.265 0.490 0.011 O
0.489 0.735 0.995 O
0.489 0.765 0.505 O
0.490 0.017 0.735 O
0.490 0.483 0.765 O
0.510 0.517 0.235 O
0.510 0.983 0.265 O
0.511 0.235 0.495 O
0.511 0.265 0.005 O
0.735 0.510 0.989 O
0.735 0.990 0.511 O
0.765 0.510 0.511 O
0.765 0.990 0.989 O
0.989 0.235 0.005 O
0.989 0.265 0.495 O
0.990 0.517 0.265 O
0.990 0.983 0.235 O
```

Values from the calculation:
- SG = No. 48

Model x:
KEuNbBiO6 after structural relaxation. Source: the Materials Project, functional PBE-GGA.

The structure in POSCAR format:
```
KEuNbBiO6
1.0
0.000 4.267 4.267
4.267 0.000 4.267
4.267 4.267 0.000
K Eu Nb Bi O
1 1 1 1 6
direct
0.000 0.000 0.000 K
0.500 0.500 0.500 Eu
0.750 0.750 0.750 Nb
0.250 0.250 0.250 Bi
0.514 0.514 0.986 O
0.514 0.986 0.514 O
0.514 0.986 0.986 O
0.986 0.514 0.514 O
0.986 0.514 0.986 O
0.986 0.986 0.514 O
```

Values from the calculation:
- SG = No. 216

Tell me which of them is the least stable. Sure, it is model x.